{"formula": "Mg16Al12V", "functional": "GGA-PBE", "state": "relaxed", "formation_energy_mev_per_atom": 6.3, "sg": "No. 160", "dft_energy_ev_per_atom": -2.7398, "vol_a3_per_cell": 574.5, "cell": [[6.348, 5.207, 3.697], [-6.737, -1.002, 5.890], [3.540, -8.087, -1.777]], "species": ["Mg", "Mg", "Mg", "Mg", "Mg", "Mg", "Mg", "Mg", "Mg", "Mg", "Mg", "Mg", "Mg", "Mg", "Mg", "Mg", "Al", "Al", "Al", "Al", "Al", "Al", "Al", "Al", "Al", "Al", "Al", "Al", "V"], "fractional_positions": [[0.006, 0.006, 0.006], [0.995, 0.346, 0.995], [0.681, 0.284, 0.681], [0.409, 0.708, 0.409], [0.316, 0.998, 0.599], [0.409, 0.409, 0.708], [0.998, 0.599, 0.316], [0.995, 0.995, 0.346], [0.284, 0.681, 0.681], [0.599, 0.316, 0.998], [0.998, 0.316, 0.599], [0.681, 0.681, 0.284], [0.346, 0.995, 0.995], [0.316, 0.599, 0.998], [0.708, 0.409, 0.409], [0.599, 0.998, 0.316], [0.361, 0.172, 0.361], [0.186, 0.813, 0.186], [0.633, 0.996, 0.813], [0.813, 0.633, 0.996], [0.172, 0.361, 0.361], [0.633, 0.813, 0.996], [0.813, 0.186, 0.186], [0.186, 0.186, 0.813], [0.996, 0.813, 0.633], [0.361, 0.361, 0.172], [0.996, 0.633, 0.813], [0.813, 0.996, 0.633], [0.697, 0.697, 0.697]]}

***

{"formula": "Mg3Al18V2", "functional": "GGA-PBE", "state": "relaxed", "formation_energy_mev_per_atom": -137.4, "sg": "No. 227", "dft_energy_ev_per_atom": -4.0674, "vol_a3_per_cell": 778.0, "cell": [[0.000, 7.300, 7.300], [7.300, 0.000, 7.300], [7.300, 7.300, 0.000]], "species": ["Mg", "Mg", "Mg", "Mg", "Mg", "Mg", "Al", "Al", "Al", "Al", "Al", "Al", "Al", "Al", "Al", "Al", "Al", "Al", "Al", "Al", "Al", "Al", "Al", "Al", "Al", "Al", "Al", "Al", "Al", "Al", "Al", "Al", "Al", "Al", "Al", "Al", "Al", "Al", "Al", "Al", "Al", "Al", "V", "V", "V", "V"], "fractional_positions": [[0.125, 0.625, 0.625], [0.625, 0.125, 0.625], [0.625, 0.625, 0.125], [0.625, 0.625, 0.625], [0.500, 0.500, 0.500], [0.750, 0.750, 0.750], [0.863, 0.863, 0.137], [0.137, 0.137, 0.863], [0.863, 0.137, 0.863], [0.137, 0.863, 0.137], [0.137, 0.863, 0.863], [0.863, 0.137, 0.137], [0.387, 0.387, 0.113], [0.113, 0.113, 0.387], [0.387, 0.113, 0.387], [0.113, 0.387, 0.113], [0.113, 0.387, 0.387], [0.387, 0.113, 0.113], [0.566, 0.299, 0.299], [0.299, 0.566, 0.836], [0.299, 0.836, 0.566], [0.836, 0.299, 0.299], [0.299, 0.299, 0.566], [0.566, 0.836, 0.299], [0.836, 0.566, 0.299], [0.299, 0.299, 0.836], [0.299, 0.566, 0.299], [0.836, 0.299, 0.566], [0.566, 0.299, 0.836], [0.299, 0.836, 0.299], [0.684, 0.951, 0.951], [0.951, 0.684, 0.414], [0.951, 0.414, 0.684], [0.414, 0.951, 0.951], [0.951, 0.951, 0.684], [0.684, 0.414, 0.951], [0.414, 0.684, 0.951], [0.951, 0.951, 0.414], [0.951, 0.684, 0.951], [0.414, 0.951, 0.684], [0.684, 0.951, 0.414], [0.951, 0.414, 0.951], [0.625, 0.125, 0.125], [0.125, 0.625, 0.125], [0.125, 0.125, 0.625], [0.125, 0.125, 0.125]]}

***

{"formula": "Mg14AlV", "functional": "GGA-PBE", "state": "relaxed", "formation_energy_mev_per_atom": 76.3, "sg": "No. 187", "dft_energy_ev_per_atom": -2.1258, "vol_a3_per_cell": 350.8, "cell": [[6.268, 0.000, 0.000], [-3.134, 5.428, 0.000], [0.000, 0.000, 10.311]], "species": ["Mg", "Mg", "Mg", "Mg", "Mg", "Mg", "Mg", "Mg", "Mg", "Mg", "Mg", "Mg", "Mg", "Mg", "Al", "V"], "fractional_positions": [[0.166, 0.833, 0.125], [0.168, 0.834, 0.625], [0.667, 0.334, 0.125], [0.666, 0.332, 0.625], [0.667, 0.833, 0.125], [0.666, 0.834, 0.625], [0.331, 0.169, 0.375], [0.331, 0.169, 0.875], [0.331, 0.661, 0.375], [0.331, 0.661, 0.875], [0.839, 0.169, 0.375], [0.839, 0.169, 0.875], [0.833, 0.667, 0.375], [0.833, 0.667, 0.875], [0.167, 0.333, 0.125], [0.167, 0.333, 0.625]]}

***

{"formula": "Mg14AlV", "functional": "GGA-PBE", "state": "relaxed", "formation_energy_mev_per_atom": 73.0, "sg": "No. 38", "dft_energy_ev_per_atom": -2.1291, "vol_a3_per_cell": 347.0, "cell": [[-4.603, 4.128, -0.937], [1.067, -2.192, 5.718], [6.572, 7.722, 1.733]], "species": ["Mg", "Mg", "Mg", "Mg", "Mg", "Mg", "Mg", "Mg", "Mg", "Mg", "Mg", "Mg", "Mg", "Mg", "Al", "V"], "fractional_positions": [[0.167, 0.334, 0.625], [0.167, 0.834, 0.625], [0.668, 0.335, 0.125], [0.666, 0.333, 0.625], [0.668, 0.832, 0.125], [0.666, 0.833, 0.625], [0.330, 0.164, 0.368], [0.330, 0.164, 0.882], [0.330, 0.666, 0.368], [0.330, 0.666, 0.882], [0.836, 0.168, 0.374], [0.836, 0.168, 0.876], [0.838, 0.669, 0.373], [0.838, 0.669, 0.877], [0.168, 0.334, 0.125], [0.166, 0.833, 0.125]]}

***

{"formula": "Mg16Al12V", "functional": "GGA-PBE", "state": "relaxed", "formation_energy_mev_per_atom": 11.8, "sg": "No. 217", "dft_energy_ev_per_atom": -2.7342, "vol_a3_per_cell": 574.2, "cell": [[6.324, -3.075, -5.727], [3.993, 4.548, 6.754], [-4.654, -6.999, 3.406]], "species": ["Mg", "Mg", "Mg", "Mg", "Mg", "Mg", "Mg", "Mg", "Mg", "Mg", "Mg", "Mg", "Mg", "Mg", "Mg", "Mg", "Al", "Al", "Al", "Al", "Al", "Al", "Al", "Al", "Al", "Al", "Al", "Al", "V"], "fractional_positions": [[0.660, 0.000, 0.000], [0.340, 0.340, 0.340], [0.286, 0.602, 0.602], [0.714, 0.316, 0.316], [0.000, 0.684, 0.398], [0.602, 0.602, 0.286], [0.398, 0.000, 0.684], [0.000, 0.000, 0.660], [0.316, 0.714, 0.316], [0.684, 0.398, 0.000], [0.316, 0.316, 0.714], [0.684, 0.000, 0.398], [0.000, 0.660, 0.000], [0.398, 0.684, 0.000], [0.602, 0.286, 0.602], [0.000, 0.398, 0.684], [0.179, 0.816, 0.816], [0.821, 0.636, 0.636], [0.000, 0.364, 0.184], [0.636, 0.821, 0.636], [0.364, 0.184, 0.000], [0.184, 0.364, 0.000], [0.816, 0.179, 0.816], [0.816, 0.816, 0.179], [0.184, 0.000, 0.364], [0.364, 0.000, 0.184], [0.636, 0.636, 0.821], [0.000, 0.184, 0.364], [0.000, 0.000, 0.000]]}

***

{"formula": "Mg16Al12W", "functional": "GGA-PBE", "state": "relaxed", "formation_energy_mev_per_atom": 32.5, "sg": "No. 160", "dft_energy_ev_per_atom": -2.8471, "vol_a3_per_cell": 571.5, "cell": [[-4.373, 7.311, -4.077], [-2.332, -0.667, 8.596], [8.866, 0.997, -0.428]], "species": ["Mg", "Mg", "Mg", "Mg", "Mg", "Mg", "Mg", "Mg", "Mg", "Mg", "Mg", "Mg", "Mg", "Mg", "Mg", "Mg", "Al", "Al", "Al", "Al", "Al", "Al", "Al", "Al", "Al", "Al", "Al", "Al", "W"], "fractional_positions": [[0.992, 0.000, 0.000], [0.009, 0.359, 0.000], [0.582, 0.281, 0.000], [0.319, 0.605, 0.000], [0.681, 0.678, 0.278], [0.582, 0.000, 0.281], [0.003, 0.600, 0.322], [0.009, 0.000, 0.359], [0.713, 0.395, 0.395], [0.403, 0.722, 0.400], [0.003, 0.322, 0.600], [0.319, 0.000, 0.605], [0.649, 0.641, 0.641], [0.681, 0.278, 0.678], [0.302, 0.719, 0.719], [0.403, 0.400, 0.722], [0.647, 0.808, 0.000], [0.813, 0.619, 0.000], [0.368, 0.363, 0.182], [0.186, 0.818, 0.181], [0.839, 0.192, 0.192], [0.368, 0.182, 0.363], [0.194, 0.381, 0.381], [0.813, 0.000, 0.619], [0.004, 0.819, 0.637], [0.647, 0.000, 0.808], [0.004, 0.637, 0.819], [0.186, 0.181, 0.818], [0.285, 0.000, 0.000]]}

***

{"formula": "YMg14Al", "functional": "GGA-PBE", "state": "relaxed", "formation_energy_mev_per_atom": -18.1, "sg": "No. 38", "dft_energy_ev_per_atom": -2.0566, "vol_a3_per_cell": 369.7, "cell": [[6.460, 0.068, 0.000], [-3.171, 5.492, 0.000], [0.000, 0.000, 10.358]], "species": ["Y", "Mg", "Mg", "Mg", "Mg", "Mg", "Mg", "Mg", "Mg", "Mg", "Mg", "Mg", "Mg", "Mg", "Mg", "Al"], "fractional_positions": [[0.161, 0.830, 0.125], [0.164, 0.332, 0.625], [0.166, 0.833, 0.625], [0.661, 0.335, 0.125], [0.666, 0.332, 0.625], [0.661, 0.825, 0.125], [0.666, 0.835, 0.625], [0.334, 0.170, 0.377], [0.334, 0.170, 0.873], [0.334, 0.664, 0.377], [0.334, 0.664, 0.873], [0.837, 0.169, 0.368], [0.837, 0.169, 0.882], [0.831, 0.666, 0.380], [0.831, 0.666, 0.870], [0.180, 0.340, 0.125]]}

***

{"formula": "YMg16Al12", "functional": "GGA-PBE", "state": "relaxed", "formation_energy_mev_per_atom": -66.9, "sg": "No. 160", "dft_energy_ev_per_atom": -2.7227, "vol_a3_per_cell": 590.5, "cell": [[-4.154, -1.088, -8.181], [-4.107, -5.264, 6.386], [-0.249, 8.878, 2.546]], "species": ["Y", "Mg", "Mg", "Mg", "Mg", "Mg", "Mg", "Mg", "Mg", "Mg", "Mg", "Mg", "Mg", "Mg", "Mg", "Mg", "Mg", "Al", "Al", "Al", "Al", "Al", "Al", "Al", "Al", "Al", "Al", "Al", "Al"], "fractional_positions": [[0.629, 0.629, 0.629], [0.346, 0.004, 0.004], [0.282, 0.685, 0.685], [0.002, 0.002, 0.002], [0.720, 0.390, 0.390], [0.999, 0.606, 0.311], [0.606, 0.311, 0.999], [0.390, 0.720, 0.390], [0.004, 0.346, 0.004], [0.311, 0.999, 0.606], [0.685, 0.685, 0.282], [0.685, 0.282, 0.685], [0.311, 0.606, 0.999], [0.004, 0.004, 0.346], [0.390, 0.390, 0.720], [0.606, 0.999, 0.311], [0.999, 0.311, 0.606], [0.189, 0.372, 0.372], [0.826, 0.190, 0.190], [0.998, 0.814, 0.635], [0.372, 0.372, 0.189], [0.635, 0.998, 0.814], [0.190, 0.190, 0.826], [0.814, 0.998, 0.635], [0.814, 0.635, 0.998], [0.190, 0.826, 0.190], [0.635, 0.814, 0.998], [0.372, 0.189, 0.372], [0.998, 0.635, 0.814]]}

***

{"formula": "YMg14Al", "functional": "GGA-PBE", "state": "relaxed", "formation_energy_mev_per_atom": -0.2, "sg": "No. 187", "dft_energy_ev_per_atom": -2.0387, "vol_a3_per_cell": 370.5, "cell": [[-3.062, -5.596, 0.823], [3.585, 2.433, 4.753], [-8.256, 5.053, 3.640]], "species": ["Y", "Mg", "Mg", "Mg", "Mg", "Mg", "Mg", "Mg", "Mg", "Mg", "Mg", "Mg", "Mg", "Mg", "Mg", "Al"], "fractional_positions": [[0.167, 0.333, 0.625], [0.164, 0.832, 0.125], [0.176, 0.838, 0.625], [0.668, 0.336, 0.125], [0.662, 0.324, 0.625], [0.668, 0.832, 0.125], [0.662, 0.838, 0.625], [0.332, 0.168, 0.369], [0.332, 0.168, 0.881], [0.332, 0.664, 0.369], [0.332, 0.664, 0.881], [0.836, 0.168, 0.369], [0.836, 0.168, 0.881], [0.833, 0.667, 0.381], [0.833, 0.667, 0.869], [0.167, 0.333, 0.125]]}

***

{"formula": "YMgAl4", "functional": "GGA-PBE", "state": "relaxed", "formation_energy_mev_per_atom": -264.2, "sg": "No. 164", "dft_energy_ev_per_atom": -4.1057, "vol_a3_per_cell": 235.3, "cell": [[2.760, -4.781, 0.000], [2.760, 4.781, 0.000], [0.000, 0.000, 8.913]], "species": ["Y", "Y", "Mg", "Mg", "Al", "Al", "Al", "Al", "Al", "Al", "Al", "Al"], "fractional_positions": [[0.667, 0.333, 0.930], [0.333, 0.667, 0.070], [0.333, 0.667, 0.441], [0.667, 0.333, 0.559], [0.000, 0.000, 0.500], [0.000, 0.000, 0.000], [0.830, 0.170, 0.252], [0.830, 0.660, 0.252], [0.340, 0.170, 0.252], [0.170, 0.830, 0.748], [0.170, 0.340, 0.748], [0.660, 0.830, 0.748]]}

***

{"formula": "YMg16Al12", "functional": "GGA-PBE", "state": "relaxed", "formation_energy_mev_per_atom": -71.0, "sg": "No. 217", "dft_energy_ev_per_atom": -2.7268, "vol_a3_per_cell": 584.7, "cell": [[-0.277, -7.972, -4.429], [3.519, -1.265, 8.322], [-8.450, 3.358, 0.749]], "species": ["Y", "Mg", "Mg", "Mg", "Mg", "Mg", "Mg", "Mg", "Mg", "Mg", "Mg", "Mg", "Mg", "Mg", "Mg", "Mg", "Mg", "Al", "Al", "Al", "Al", "Al", "Al", "Al", "Al", "Al", "Al", "Al", "Al"], "fractional_positions": [[0.000, 0.000, 0.000], [0.319, 0.603, 0.000], [0.358, 0.000, 0.000], [0.000, 0.358, 0.000], [0.603, 0.319, 0.000], [0.397, 0.397, 0.716], [0.681, 0.284, 0.681], [0.284, 0.681, 0.681], [0.642, 0.642, 0.642], [0.000, 0.319, 0.603], [0.319, 0.000, 0.603], [0.716, 0.397, 0.397], [0.397, 0.716, 0.397], [0.000, 0.000, 0.358], [0.000, 0.603, 0.319], [0.603, 0.000, 0.319], [0.681, 0.681, 0.284], [0.632, 0.813, 0.000], [0.813, 0.632, 0.000], [0.187, 0.187, 0.818], [0.000, 0.632, 0.813], [0.632, 0.000, 0.813], [0.813, 0.000, 0.632], [0.000, 0.813, 0.632], [0.368, 0.182, 0.368], [0.182, 0.368, 0.368], [0.818, 0.187, 0.187], [0.187, 0.818, 0.187], [0.368, 0.368, 0.182]]}

***

{"formula": "Mg6AlZn", "functional": "GGA-PBE", "state": "relaxed", "formation_energy_mev_per_atom": 14.2, "dft_energy_ev_per_atom": -1.8117, "vol_a3_per_cell": 332.9, "cell": [[4.984, 0.000, 0.000], [0.000, 6.187, 0.000], [0.000, 0.000, 10.796]], "species": ["Mg", "Mg", "Mg", "Mg", "Mg", "Mg", "Mg", "Mg", "Mg", "Mg", "Mg", "Mg", "Al", "Al", "Zn", "Zn"], "fractional_positions": [[0.000, 0.255, 0.086], [0.000, 0.745, 0.086], [0.000, 0.000, 0.333], [0.500, 0.746, 0.415], [0.500, 0.254, 0.415], [0.500, 0.000, 0.167], [0.000, 0.755, 0.586], [0.000, 0.245, 0.586], [0.000, 0.500, 0.833], [0.500, 0.246, 0.915], [0.500, 0.754, 0.915], [0.500, 0.500, 0.667], [0.000, 0.500, 0.332], [0.000, 0.000, 0.832], [0.500, 0.500, 0.167], [0.500, 0.000, 0.667]]}